<P>
Density functional theory data (GGA+U) for a geometry-optimized LiNiP2O7 structure.

Unit cell a=9.6128 b=8.1892 c=13.6003 alpha=90.00 beta=107.22 gamma=90.00
Space group C2/c (No. 15)
Asymmetric unit:
1 Li 0.2201 0.0012 0.3332 x8
2 Ni 0.2217 0.3626 0.8579 x8
3 P 0.0431 0.3095 0.4142 x8
4 P 0.0668 0.1936 0.6345 x8
5 O 0.0968 0.2261 0.5262 x8
6 O 0.0986 0.1791 0.8845 x8
7 O 0.1023 0.1995 0.3448 x8
8 O 0.1126 0.4790 0.4220 x8
9 O 0.1235 0.3155 0.1196 x8
10 O 0.1343 0.3387 0.7036 x8
11 O 0.1434 0.0326 0.6730 x8

=====

<Q>
Density functional theory data (GGA+U) for a geometry-optimized LiNiP2O7 structure.

Unit cell a=4.9040 b=8.3382 c=7.1620 alpha=90.00 beta=109.99 gamma=90.00
Space group P2_1 (No. 4)
Asymmetric unit:
1 Li 0.1766 0.0000 0.1578 x2
2 Ni 0.2206 0.6472 0.2214 x2
3 P 0.2092 0.9271 0.5786 x2
4 P 0.4001 0.3247 0.0258 x2
5 O 0.0538 0.4825 0.3720 x2
6 O 0.1407 0.8436 0.3790 x2
7 O 0.1927 0.1817 0.9885 x2
8 O 0.2427 0.4846 0.0140 x2
9 O 0.3897 0.0798 0.5779 x2
10 O 0.3933 0.8000 0.7416 x2
11 O 0.4047 0.8255 0.1004 x2

=====

Result of the stability comparison: <Q> is the least stable of them.

=====

<P>
Density functional theory data (GGA+U) for a geometry-optimized LiNiP2O7 structure.

Unit cell a=8.2846 b=5.1086 c=13.7515 alpha=90.00 beta=110.96 gamma=90.00
Space group Pc (No. 7)
Asymmetric unit:
1 Li 0.0000 0.0152 0.0000 x2
2 Li 0.4451 0.4274 0.3223 x2
3 Ni 0.1651 0.0186 0.2986 x2
4 Ni 0.7139 0.4932 0.5178 x2
5 P 0.1267 0.4746 0.6375 x2
6 P 0.2582 0.4803 0.4686 x2
7 P 0.6101 0.0425 0.8594 x2
8 P 0.7300 0.0129 0.6807 x2
9 O 0.1136 0.1791 0.6522 x2
10 O 0.1560 0.2880 0.9054 x2
11 O 0.1572 0.2232 0.4320 x2
12 O 0.2011 0.3782 0.2400 x2
13 O 0.2805 0.4819 0.0880 x2
14 O 0.4265 0.0208 0.3528 x2
15 O 0.4397 0.4588 0.4644 x2
16 O 0.5966 0.0235 0.2403 x2
17 O 0.6535 0.3355 0.8755 x2
18 O 0.6700 0.1731 0.0896 x2
19 O 0.7215 0.3000 0.6466 x2
20 O 0.7445 0.1381 0.4343 x2
21 O 0.9099 0.0397 0.2602 x2
22 O 0.9655 0.3996 0.0579 x2

=====

<Q>
Density functional theory data (GGA+U) for a geometry-optimized LiNiP2O7 structure.

Unit cell a=7.1995 b=7.9876 c=9.4250 alpha=90.00 beta=109.65 gamma=90.00
Space group P2_1/c (No. 14)
Asymmetric unit:
1 Li 0.1960 0.0270 0.2165 x4
2 Ni 0.2396 0.0046 0.7517 x4
3 P 0.1704 0.7092 0.9514 x4
4 P 0.4158 0.2370 0.0452 x4
5 O 0.0476 0.5777 0.8433 x4
6 O 0.1202 0.6083 0.3992 x4
7 O 0.1856 0.7003 0.1170 x4
8 O 0.2889 0.1378 0.5929 x4
9 O 0.3095 0.2124 0.8755 x4
10 O 0.3828 0.6637 0.9354 x4
11 O 0.4648 0.0795 0.1434 x4

=====

Result of the stability comparison: <Q> is the least stable of them.

=====

<P>
Density functional theory data (GGA+U) for a geometry-optimized LiNiP2O7 structure.

Unit cell a=7.0070 b=8.4082 c=9.2420 alpha=90.00 beta=112.08 gamma=90.00
Space group P2_1/c (No. 14)
Asymmetric unit:
1 Li 0.2261 0.0709 0.1005 x4
2 Ni 0.3065 0.0664 0.6826 x4
3 P 0.0618 0.7343 0.7462 x4
4 P 0.4697 0.7205 0.0321 x4
5 O 0.0426 0.6066 0.6244 x4
6 O 0.1093 0.6013 0.1967 x4
7 O 0.1257 0.2415 0.7079 x4
8 O 0.2459 0.6822 0.9051 x4
9 O 0.3763 0.2263 0.5486 x4
10 O 0.4653 0.6167 0.6070 x4
11 O 0.4961 0.0857 0.3488 x4

=====

<Q>
Density functional theory data (GGA+U) for a geometry-optimized LiNiP2O7 structure.

Unit cell a=5.0236 b=8.4232 c=6.9256 alpha=90.00 beta=109.20 gamma=90.00
Space group P2_1 (No. 4)
Asymmetric unit:
1 Li 0.2313 0.0000 0.2460 x2
2 Ni 0.1926 0.6364 0.1814 x2
3 P 0.1857 0.6956 0.5532 x2
4 P 0.3964 0.3036 0.0388 x2
5 O 0.0547 0.1542 0.3760 x2
6 O 0.1087 0.8000 0.3562 x2
7 O 0.2032 0.1576 0.0091 x2
8 O 0.2405 0.4626 0.0142 x2
9 O 0.3297 0.5533 0.4817 x2
10 O 0.4125 0.8028 0.0932 x2
11 O 0.4157 0.7995 0.7207 x2

=====

Result of the stability comparison: <Q> is the least stable of them.

=====

<P>
Density functional theory data (GGA+U) for a geometry-optimized LiNiP2O7 structure.

Unit cell a=6.1780 b=6.9807 c=7.1612 alpha=75.05 beta=65.04 gamma=79.15
Space group P-1 (No. 2)
Asymmetric unit:
1 Li 0.0746 0.1702 0.3345 x2
2 Ni 0.3200 0.3296 0.6033 x2
3 P 0.2246 0.6954 0.2591 x2
4 P 0.3668 0.8626 0.8017 x2
5 O 0.0330 0.5705 0.2818 x2
6 O 0.1177 0.8846 0.3445 x2
7 O 0.1664 0.7767 0.7869 x2
8 O 0.3050 0.0819 0.8204 x2
9 O 0.3869 0.1776 0.3711 x2
10 O 0.3974 0.5779 0.3654 x2
11 O 0.4034 0.7448 0.0142 x2

=====

<Q>
Density functional theory data (GGA+U) for a geometry-optimized LiNiP2O7 structure.

Unit cell a=6.3418 b=6.4155 c=6.9008 alpha=84.72 beta=67.06 gamma=81.87
Space group P-1 (No. 2)
Asymmetric unit:
1 Li 0.2121 0.0086 0.3313 x2
2 Ni 0.4078 0.3554 0.7173 x2
3 P 0.1543 0.6062 0.1450 x2
4 P 0.2894 0.8645 0.7343 x2
5 O 0.0955 0.4045 0.7021 x2
6 O 0.1146 0.9498 0.6390 x2
7 O 0.1417 0.7872 0.9711 x2
8 O 0.2710 0.4011 0.0355 x2
9 O 0.2759 0.6892 0.2707 x2
10 O 0.4368 0.0278 0.7484 x2
11 O 0.4482 0.6684 0.6216 x2

=====

<R>
Density functional theory data (GGA+U) for a geometry-optimized LiNiP2O7 structure.

Unit cell a=7.0621 b=8.3062 c=9.1617 alpha=90.00 beta=113.74 gamma=90.00
Space group P2_1/c (No. 14)
Asymmetric unit:
1 Li 0.1972 0.0586 0.3251 x4
2 Ni 0.2616 0.0761 0.8851 x4
3 P 0.0306 0.7315 0.9682 x4
4 P 0.4413 0.7318 0.2544 x4
5 O 0.0195 0.0965 0.6572 x4
6 O 0.0618 0.6057 0.4013 x4
7 O 0.1227 0.2413 0.4538 x4
8 O 0.2467 0.6691 0.1011 x4
9 O 0.3820 0.2430 0.2989 x4
10 O 0.3899 0.6112 0.8153 x4
11 O 0.4763 0.5941 0.3786 x4

=====

Result of the stability comparison: <P> is the least stable of them.